Entry 1:
SiWCl2 GGA-PBE relaxed; ΔE_f = 0.776 eV/atom; calculated density = 7.4 Mg/m³; magnetization = 0.0 μB/f.u.; DFT total energy = -17.75 eV per formula unit
1.0
0.895 0.812 4.314
-2.962 2.222 2.523
-2.275 -2.153 3.204
Cl Si W
2 1 1
Direct
0.750 0.750 0.750
0.250 0.250 0.250
0.000 0.000 0.000
0.500 0.500 0.500

Entry 2:
SmCl2 GGA-PBE relaxed; ΔE_f = -2.335 eV/atom; calculated density = 4.1 Mg/m³; DFT total energy = -14.19 eV per formula unit
1.0
7.063 0.000 0.000
0.000 7.063 0.000
0.000 0.000 3.553
Cl Sm
4 2
Direct
0.781 0.219 0.500
0.719 0.719 0.000
0.281 0.281 0.000
0.219 0.781 0.500
0.500 0.500 0.500
0.000 0.000 0.000

What did the first record say?
SiWCl2 GGA-PBE relaxed; ΔE_f = 0.776 eV/atom; calculated density = 7.4 Mg/m³; magnetization = 0.0 μB/f.u.; DFT total energy = -17.75 eV per formula unit
1.0
0.895 0.812 4.314
-2.962 2.222 2.523
-2.275 -2.153 3.204
Cl Si W
2 1 1
Direct
0.750 0.750 0.750
0.250 0.250 0.250
0.000 0.000 0.000
0.500 0.500 0.500